Density functional theory data (PBE-GGA) for a relaxed La3TiSb5 crystal.

Cell lengths 9.5820, 9.5820, 6.3271 Å; angles 90.00, 90.00, 120.00 degrees
With the nearest neighbours (Å) after each atom.
Space group P6_3/mcm (No. 193)
Asymmetric unit:
La (0.0000, 0.3820, 0.2500)  9 Sb 3.22-3.53
Ti (0.0000, 0.0000, 0.0000)  6 Sb 2.87, 2 Ti 3.16
Sb (0.0000, 0.2496, 0.7500)  2 Ti 2.87
Sb (0.3333, 0.6667, 0.0000)  2 Sb 3.16, 6 La 3.38

Values from the calculation:
As for the crystal system: hexagonal. The raw total energy is -52.43 eV per formula unit. For the energy of formation, the calculation gives -1.115 eV per atom.

Density functional theory data (PBE-GGA) for a relaxed LaVSb3 crystal.

Cell lengths 13.4256, 6.3156, 6.1519 Å; angles 90.00, 90.00, 90.00 degrees
With the nearest neighbours (Å) after each atom.
Space group Pbcm (No. 57)
Asymmetric unit:
La (0.1915, 0.0021, 0.2500)  9 Sb 3.32-3.41, 2 V 3.65
V (0.4078, 0.7500, 0.0000)  6 Sb 2.73-2.76
Sb (0.0009, 0.7500, 0.0000)  4 Sb 3.08-3.16, 4 La 3.38-3.39
Sb (0.2852, 0.9996, 0.7500)  2 V 2.75
Sb (0.4368, 0.1020, 0.2500)  4 V 2.73-2.76

Values from the calculation:
As for the crystal system: orthorhombic. The raw total energy is -29.26 eV per formula unit. Its total moment is 0.20 μB/atom. For the energy of formation, the calculation gives -0.686 eV per atom.

Density functional theory data (PBE-GGA) for a relaxed La3YSb3 crystal.

Cell lengths 13.5011, 9.5964, 9.5822 Å; angles 90.00, 134.66, 90.00 degrees
With the nearest neighbours (Å) after each atom.
Space group C2 (No. 5)
Asymmetric unit:
La (0.0693, 0.0000, 0.3916)  6 Sb 3.23-3.47
La (0.1770, 0.2463, 0.1038)  6 Sb 3.20-3.51
La (0.1776, 0.3917, 0.7490)  6 Sb 3.19-3.48
Y (0.0693, 0.6395, 0.2496)  6 Sb 3.11-3.47
Sb (0.0000, 0.6945, 0.5000)  2 Y 3.17, 6 La 3.23-3.45
Sb (0.0000, 0.9344, 0.0000)  6 La 3.19-3.51, 2 Y 3.38
Sb (0.1291, 0.3243, 0.3775)  2 Y 3.15-3.47, 6 La 3.20-3.48
Sb (0.2406, 0.5716, 0.1209)  2 Y 3.11-3.36, 5 La 3.21-3.47

Values from the calculation:
As for the crystal system: monoclinic. The raw total energy is -41.33 eV per formula unit. Its total moment is 0.02 μB/atom. For the energy of formation, the calculation gives -1.178 eV per atom.

Density functional theory data (PBE-GGA) for a relaxed La3Sc crystal.

Cell lengths 5.0703, 5.0703, 10.4702 Å; angles 90.00, 90.00, 90.00 degrees
With the nearest neighbours (Å) after each atom.
Space group I4/mmm (No. 139)
Asymmetric unit:
La (0.0000, 0.0000, 0.0000)  4 Sc 3.59, 8 La 3.64
La (0.0000, 0.5000, 0.2500)  8 La 3.59-3.64, 4 Sc 3.64
Sc (0.0000, 0.0000, 0.5000)  12 La 3.59-3.64

Values from the calculation:
As for the crystal system: tetragonal. The raw total energy is -20.93 eV per formula unit. For the energy of formation, the calculation gives 0.052 eV per atom.